# 1
Here is a geometry-optimized CeTlAg2 structure from Materials Project. Energies are from PBE-GGA.

Calculated values
Energy relative to the elements, eV per atom: -0.17
Theoretical density, g cm⁻³: 9.88
Uncorrected energy, eV per atom: -3.66

The structure in CIF format:
```
data_CeTlAg2
_chemical_formula_sum 'Ce4 Tl4 Ag8'
_symmetry_space_group_name_H-M 'F m -3 m'
_symmetry_Int_Tables_number 225
_symmetry_space_group_name_Hall '-F 4 2 3'
_cell_length_a 7.222
_cell_length_b 7.222
_cell_length_c 7.222
_cell_angle_alpha 90.00
_cell_angle_beta 90.00
_cell_angle_gamma 90.00
loop_
_atom_site_label
_atom_site_type_symbol
_atom_site_fract_x
_atom_site_fract_y
_atom_site_fract_z
Ce1 Ce 0.000 0.000 0.000
Tl1 Tl 0.000 0.000 0.500
Ag1 Ag 0.250 0.250 0.250
```

# 2
Here is a geometry-optimized Ca2Al4Si8H14O31 structure from Materials Project. Energies are from PBE-GGA.

Calculated values
M_tot, μB per cell: 0.0
Energy relative to the elements, eV per atom: -2.07
Theoretical density, g cm⁻³: 1.93
Uncorrected energy, eV per atom: -6.18
E (MP2020), eV per atom: -6.536

The structure in CIF format:
```
data_Ca2Al4Si8H14O31
_chemical_formula_sum 'Ca2 Al4 Si8 H14 O31'
_symmetry_space_group_name_H-M 'P 1'
_symmetry_Int_Tables_number 1
_symmetry_space_group_name_Hall 'P 1'
_cell_length_a 8.981
_cell_length_b 9.291
_cell_length_c 9.844
_cell_angle_alpha 102.13
_cell_angle_beta 90.39
_cell_angle_gamma 98.03
loop_
_atom_site_label
_atom_site_type_symbol
_atom_site_fract_x
_atom_site_fract_y
_atom_site_fract_z
Ca1 Ca 0.000 0.000 0.000
Ca2 Ca 0.273 0.948 0.360
Al1 Al 0.527 0.338 0.742
Al2 Al 0.617 0.792 0.113
Al3 Al 0.685 0.332 0.396
Al4 Al 0.940 0.741 0.720
Si1 Si 0.008 0.575 0.873
Si2 Si 0.267 0.502 0.590
Si3 Si 0.374 0.098 0.737
Si4 Si 0.481 0.465 0.343
Si5 Si 0.504 0.991 0.020
Si6 Si 0.729 0.487 0.026
Si7 Si 0.749 0.149 0.547
Si8 Si 0.916 0.959 0.610
H1 H 0.006 0.969 0.256
H2 H 0.040 0.319 0.350
H3 H 0.051 0.359 0.616
H4 H 0.067 0.123 0.517
H5 H 0.163 0.410 0.910
H6 H 0.216 0.643 0.655
H7 H 0.290 0.205 0.995
H8 H 0.349 0.509 0.799
H9 H 0.442 0.510 0.214
H10 H 0.444 0.198 0.157
H11 H 0.488 0.899 0.777
H12 H 0.660 0.888 0.453
H13 H 0.704 0.363 0.098
H14 H 0.906 0.528 0.324
O1 O 0.005 0.349 0.265
O2 O 0.044 0.758 0.889
O3 O 0.052 0.014 0.504
O4 O 0.100 0.979 0.206
O5 O 0.134 0.357 0.550
O6 O 0.167 0.501 0.872
O7 O 0.198 0.219 0.940
O8 O 0.200 0.095 0.816
O9 O 0.347 0.519 0.448
O10 O 0.357 0.996 0.585
O11 O 0.396 0.473 0.707
O12 O 0.421 0.146 0.056
O13 O 0.456 0.979 0.201
O14 O 0.468 0.994 0.834
O15 O 0.492 0.285 0.317
O16 O 0.497 0.848 0.256
O17 O 0.501 0.809 0.973
O18 O 0.623 0.449 0.886
O19 O 0.636 0.278 0.594
O20 O 0.646 0.522 0.423
O21 O 0.692 0.060 0.046
O22 O 0.700 0.641 0.128
O23 O 0.712 0.957 0.534
O24 O 0.765 0.944 0.097
O25 O 0.778 0.176 0.393
O26 O 0.877 0.421 0.320
O27 O 0.883 0.153 0.659
O28 O 0.896 0.931 0.773
O29 O 0.910 0.509 0.990
O30 O 0.919 0.545 0.720
O31 O 0.934 0.777 0.552
```

# 3
Here is a geometry-optimized Cs3KRe6C6S8N6 structure from Materials Project. Energies are from PBE-GGA.

Calculated values
M_tot, μB per cell: 0.7
Energy relative to the elements, eV per atom: -0.66
Theoretical density, g cm⁻³: 4.43
Uncorrected energy, eV per atom: -7.69
E (MP2020), eV per atom: -7.894

The structure in CIF format:
```
data_Cs3KRe6C6S8N6
_chemical_formula_sum 'Cs24 K8 Re48 C48 S64 N48'
_symmetry_space_group_name_H-M 'I a -3'
_symmetry_Int_Tables_number 206
_symmetry_space_group_name_Hall '-I 2b 2c 3'
_cell_length_a 18.076
_cell_length_b 18.076
_cell_length_c 18.076
_cell_angle_alpha 90.00
_cell_angle_beta 90.00
_cell_angle_gamma 90.00
loop_
_atom_site_label
_atom_site_type_symbol
_atom_site_fract_x
_atom_site_fract_y
_atom_site_fract_z
Cs1 Cs 0.000 0.250 0.449
K1 K 0.000 0.000 0.000
Re1 Re 0.178 0.185 0.284
C1 C 0.101 0.111 0.331
S1 S 0.092 0.212 0.774
S2 S 0.155 0.155 0.155
N1 N 0.061 0.071 0.364
```

# 4
Here is a geometry-optimized Eu2GeS4 structure from Materials Project. Energies are from PBE-GGA.

Calculated values
Energy relative to the elements, eV per atom: -1.65
Theoretical density, g cm⁻³: 4.83
Uncorrected energy, eV per atom: -7.32
E (MP2020), eV per atom: -7.603

The structure in CIF format:
```
data_Eu2GeS4
_chemical_formula_sum 'Eu4 Ge2 S8'
_symmetry_space_group_name_H-M 'P 1 21/m 1'
_symmetry_Int_Tables_number 11
_symmetry_space_group_name_Hall '-P 2yb'
_cell_length_a 6.690
_cell_length_b 6.723
_cell_length_c 8.119
_cell_angle_alpha 90.00
_cell_angle_beta 108.00
_cell_angle_gamma 90.00
loop_
_atom_site_label
_atom_site_type_symbol
_atom_site_fract_x
_atom_site_fract_y
_atom_site_fract_z
Eu1 Eu 0.221 0.250 0.053
Eu2 Eu 0.264 0.250 0.567
Ge1 Ge 0.228 0.750 0.799
S1 S 0.004 0.005 0.740
S2 S 0.408 0.750 0.081
S3 S 0.427 0.750 0.625
```

# 5
Here is a geometry-optimized HoAlO3 structure from Materials Project. Energies are from PBE-GGA.

Calculated values
Energy relative to the elements, eV per atom: -3.76
Theoretical density, g cm⁻³: 7.69
Uncorrected energy, eV per atom: -7.98
E (MP2020), eV per atom: -8.390

The structure in CIF format:
```
data_HoAlO3
_chemical_formula_sum 'Ho4 Al4 O12'
_symmetry_space_group_name_H-M 'P n m a'
_symmetry_Int_Tables_number 62
_symmetry_space_group_name_Hall '-P 2ac 2n'
_cell_length_a 5.379
_cell_length_b 7.423
_cell_length_c 5.192
_cell_angle_alpha 90.00
_cell_angle_beta 90.00
_cell_angle_gamma 90.00
loop_
_atom_site_label
_atom_site_type_symbol
_atom_site_fract_x
_atom_site_fract_y
_atom_site_fract_z
Ho1 Ho 0.057 0.250 0.014
Al1 Al 0.000 0.000 0.500
O1 O 0.025 0.750 0.410
O2 O 0.204 0.547 0.796
```

# 6
Here is a geometry-optimized Sm2Ti2O5 structure from Materials Project. Energies are from PBE-GGA.

Calculated values
M_tot, μB per cell: 5.3
Energy relative to the elements, eV per atom: -3.24
Theoretical density, g cm⁻³: 6.76
Uncorrected energy, eV per atom: -8.41
E (MP2020), eV per atom: -8.793

The structure in CIF format:
```
data_Sm2Ti2O5
_chemical_formula_sum 'Sm8 Ti8 O20'
_symmetry_space_group_name_H-M 'I m m a'
_symmetry_Int_Tables_number 74
_symmetry_space_group_name_Hall '-I 2b 2'
_cell_length_a 5.402
_cell_length_b 15.535
_cell_length_c 5.576
_cell_angle_alpha 90.00
_cell_angle_beta 90.00
_cell_angle_gamma 90.00
loop_
_atom_site_label
_atom_site_type_symbol
_atom_site_fract_x
_atom_site_fract_y
_atom_site_fract_z
Sm1 Sm 0.000 0.135 0.018
Ti1 Ti 0.000 0.000 0.500
Ti2 Ti 0.000 0.250 0.549
O1 O 0.000 0.125 0.596
O2 O 0.250 0.033 0.250
O3 O 0.250 0.250 0.250
```

# 7
Here is a geometry-optimized Al2Se3O12 structure from Materials Project. Energies are from PBE-GGA.

Calculated values
M_tot, μB per cell: 8.0
Energy relative to the elements, eV per atom: -1.19
Theoretical density, g cm⁻³: 2.89
Uncorrected energy, eV per atom: -5.62
E (MP2020), eV per atom: -5.738

The structure in CIF format:
```
data_Al2Se3O12
_chemical_formula_sum 'Al8 Se12 O48'
_symmetry_space_group_name_H-M 'C 1 c 1'
_symmetry_Int_Tables_number 9
_symmetry_space_group_name_Hall 'C -2yc'
_cell_length_a 14.064
_cell_length_b 14.674
_cell_length_c 5.670
_cell_angle_alpha 90.00
_cell_angle_beta 108.80
_cell_angle_gamma 90.00
loop_
_atom_site_label
_atom_site_type_symbol
_atom_site_fract_x
_atom_site_fract_y
_atom_site_fract_z
Al1 Al 0.000 0.000 0.000
Al2 Al 0.433 0.050 0.328
Se1 Se 0.044 0.354 0.457
Se2 Se 0.154 0.140 0.876
Se3 Se 0.395 0.369 0.668
O1 O 0.089 0.023 0.821
O2 O 0.150 0.406 0.587
O3 O 0.162 0.343 0.098
O4 O 0.224 0.143 0.697
O5 O 0.241 0.120 0.198
O6 O 0.251 0.362 0.141
O7 O 0.303 0.041 0.201
O8 O 0.396 0.490 0.669
O9 O 0.472 0.049 0.677
O10 O 0.476 0.368 0.498
O11 O 0.477 0.139 0.165
O12 O 0.477 0.368 0.968
```

# 8
Here is a geometry-optimized LaH2S2NO9 structure from Materials Project. Energies are from PBE-GGA.

Calculated values
M_tot, μB per cell: 8.0
Energy relative to the elements, eV per atom: -1.61
Theoretical density, g cm⁻³: 2.94
Uncorrected energy, eV per atom: -6.05
E (MP2020), eV per atom: -6.467

The structure in CIF format:
```
data_LaH2S2NO9
_chemical_formula_sum 'La4 H8 S8 N4 O36'
_symmetry_space_group_name_H-M 'P 1 21/c 1'
_symmetry_Int_Tables_number 14
_symmetry_space_group_name_Hall '-P 2ybc'
_cell_length_a 8.469
_cell_length_b 10.127
_cell_length_c 12.069
_cell_angle_alpha 90.00
_cell_angle_beta 127.56
_cell_angle_gamma 90.00
loop_
_atom_site_label
_atom_site_type_symbol
_atom_site_fract_x
_atom_site_fract_y
_atom_site_fract_z
La1 La 0.215 0.164 0.250
H1 H 0.310 0.123 0.612
H2 H 0.486 0.105 0.775
S1 S 0.204 0.085 0.984
S2 S 0.245 0.589 0.929
N1 N 0.244 0.645 0.230
O1 O 0.058 0.168 0.985
O2 O 0.073 0.678 0.868
O3 O 0.101 0.529 0.388
O4 O 0.194 0.050 0.439
O5 O 0.296 0.166 0.935
O6 O 0.303 0.584 0.834
O7 O 0.354 0.039 0.130
O8 O 0.367 0.159 0.705
O9 O 0.413 0.638 0.068
```

# 9
Here is a geometry-optimized TaPd structure from Materials Project. Energies are from PBE-GGA.

Calculated values
Energy relative to the elements, eV per atom: -0.36
Theoretical density, g cm⁻³: 14.24
Uncorrected energy, eV per atom: -8.88

The structure in CIF format:
```
data_TaPd
_chemical_formula_sum 'Ta2 Pd2'
_symmetry_space_group_name_H-M 'P 4/n m m'
_symmetry_Int_Tables_number 129
_cell_length_a 3.325
_cell_length_b 3.325
_cell_length_c 6.061
_cell_angle_alpha 90.00
_cell_angle_beta 90.00
_cell_angle_gamma 90.00
loop_
_symmetry_equiv_pos_as_xyz
'x,y,z'
'-x,-y,-z'
'-y+1/2,x,z'
'y+1/2,-x,-z'
'-x+1/2,-y+1/2,z'
'x+1/2,y+1/2,-z'
'y,-x+1/2,z'
'-y,x+1/2,-z'
'x+1/2,-y,-z'
'-x+1/2,y,z'
'-y,-x,-z'
'y,x,z'
'-x,y+1/2,-z'
'x,-y+1/2,z'
'y+1/2,x+1/2,-z'
'-y+1/2,-x+1/2,z'
loop_
_atom_site_label
_atom_site_type_symbol
_atom_site_fract_x
_atom_site_fract_y
_atom_site_fract_z
Ta1 Ta 0.250 0.250 0.144
Pd1 Pd 0.250 0.250 0.631
```

# 10
Here is a geometry-optimized H2PdS4O14 structure from Materials Project. Energies are from PBE-GGA.

Calculated values
M_tot, μB per cell: 4.0
Energy relative to the elements, eV per atom: -1.51
Theoretical density, g cm⁻³: 2.72
Uncorrected energy, eV per atom: -5.71
E (MP2020), eV per atom: -6.168

The structure in CIF format:
```
data_H2PdS4O14
_chemical_formula_sum 'H4 Pd2 S8 O28'
_symmetry_space_group_name_H-M 'P 1 21/c 1'
_symmetry_Int_Tables_number 14
_symmetry_space_group_name_Hall '-P 2ybc'
_cell_length_a 9.551
_cell_length_b 7.014
_cell_length_c 9.525
_cell_angle_alpha 90.00
_cell_angle_beta 117.98
_cell_angle_gamma 90.00
loop_
_atom_site_label
_atom_site_type_symbol
_atom_site_fract_x
_atom_site_fract_y
_atom_site_fract_z
H1 H 0.038 0.209 0.442
Pd1 Pd 0.500 0.000 0.000
S1 S 0.228 0.138 0.391
S2 S 0.300 0.678 0.116
O1 O 0.121 0.022 0.263
O2 O 0.144 0.632 0.093
O3 O 0.146 0.241 0.966
O4 O 0.307 0.656 0.526
O5 O 0.332 0.235 0.863
O6 O 0.353 0.010 0.537
O7 O 0.430 0.672 0.278
```

The highest energy relative to the elements belongs to which entry?
CeTlAg2